Record 1
Na2MnO2 | PBE with a Hubbard U | relaxed

POSCAR file:
```
Na2MnO2
1.0
6.336 -6.110 0.000
6.336 6.110 0.000
-2.920 0.000 5.455
Na Mn O
12 6 12
Cartesian
1.645 3.631 4.026 Na
4.147 5.371 4.091 Na
5.607 3.718 1.364 Na
4.240 0.872 1.477 Na
6.648 3.631 4.156 Na
2.780 -0.872 4.205 Na
6.973 0.872 1.250 Na
3.105 -3.631 1.298 Na
5.513 -0.872 3.977 Na
4.147 -3.718 4.091 Na
5.607 -5.371 1.364 Na
8.108 -3.631 1.429 Na
0.515 0.975 4.055 Mn
1.975 -0.975 1.328 Mn
4.147 2.251 4.091 Mn
5.607 -2.251 1.364 Mn
7.778 0.975 4.127 Mn
9.238 -0.975 1.400 Mn
3.524 3.501 2.545 O
2.028 0.691 0.094 O
0.568 -0.691 2.821 O
2.420 1.393 4.915 O
7.689 3.501 0.183 O
5.873 1.393 3.267 O
3.880 -1.393 2.188 O
2.064 -3.501 5.272 O
7.333 -1.393 0.540 O
9.185 0.691 2.634 O
7.725 -0.691 5.361 O
6.229 -3.501 2.910 O
```

Record 2
Na4MnO3 | PBE with a Hubbard U | relaxed

POSCAR file:
```
Na4MnO3
1.0
-2.749 5.281 7.909
2.749 -5.281 7.909
2.749 5.281 -7.909
Na Mn O
16 4 12
Cartesian
2.749 2.640 -3.522 Na
2.948 -0.450 1.274 Na
0.198 0.450 1.274 Na
0.540 0.000 3.955 Na
3.290 0.000 3.955 Na
2.948 4.831 -1.274 Na
2.948 0.450 6.635 Na
0.000 2.640 3.522 Na
2.749 2.640 4.387 Na
-0.198 4.831 1.274 Na
-0.198 0.450 9.183 Na
-0.540 5.281 3.955 Na
2.209 5.281 3.955 Na
2.551 4.831 6.635 Na
-0.198 5.730 6.635 Na
0.000 2.640 11.431 Na
2.749 -2.640 6.668 Mn
2.749 2.640 1.242 Mn
0.000 2.640 6.668 Mn
0.000 7.921 1.242 Mn
4.587 -1.302 2.608 O
4.124 1.497 0.000 O
1.837 -1.302 5.302 O
1.837 1.302 2.608 O
1.375 3.784 0.000 O
1.837 6.582 -2.608 O
0.912 -1.302 10.517 O
1.375 1.497 7.909 O
0.912 3.979 5.302 O
0.912 6.582 2.608 O
-1.375 3.784 7.909 O
-1.837 6.582 5.302 O
```

Record 3
NaMn2O4 | PBE with a Hubbard U | relaxed

POSCAR file:
```
NaMn2O4
1.0
4.240 -4.609 0.000
4.240 4.609 0.000
0.000 0.000 8.430
Na Mn O
4 8 16
Cartesian
4.240 2.353 6.323 Na
2.313 0.000 4.215 Na
6.167 0.000 0.000 Na
4.240 -2.353 2.108 Na
1.050 1.058 7.355 Mn
3.161 1.259 1.033 Mn
1.050 -1.058 1.075 Mn
5.319 1.259 3.182 Mn
3.161 -1.259 7.397 Mn
7.430 1.058 5.290 Mn
5.319 -1.259 5.248 Mn
7.430 -1.058 3.140 Mn
3.347 3.513 1.237 O
1.200 0.907 0.899 O
3.336 1.573 3.033 O
5.133 3.513 2.979 O
1.200 -0.907 7.532 O
2.989 1.037 7.530 O
5.145 1.573 1.182 O
2.989 -1.037 0.900 O
5.492 1.037 5.115 O
3.336 -1.573 5.397 O
5.492 -1.037 3.315 O
7.281 0.907 3.317 O
3.347 -3.513 7.194 O
5.145 -1.573 7.248 O
7.281 -0.907 5.114 O
5.133 -3.513 5.452 O
```

Calculated ΔH_f (0 K) in order - -163.34; -151.96; -188.33 kJ per mole of atoms